VASP calculation (PBE with a Hubbard U) on crystalline WO4 at its relaxed geometry.

Cell and atoms, written as POSCAR:
```
WO4
1.0
-3.4967 -3.3171 2.3541
7.6805 -4.2642 5.3999
-1.6797 7.8851 8.6159
O W
32 8
Direct
0.2729 0.9338 0.2492
0.7560 0.5930 0.5000
0.8088 0.3397 0.8772
0.2560 0.9070 0.0000
0.7729 0.5662 0.2508
0.8307 0.5764 0.0000
0.1912 0.6603 0.1228
0.2211 0.1806 0.0908
0.2440 0.4070 0.5000
0.1912 0.6603 0.8772
0.2271 0.4338 0.7492
0.7440 0.0930 0.0000
0.8088 0.3397 0.1228
0.6912 0.8397 0.6228
0.7789 0.8194 0.9092
0.6693 0.0764 0.5000
0.7271 0.0662 0.2492
0.2211 0.1806 0.9092
0.2271 0.4338 0.2508
0.7211 0.3194 0.5908
0.2789 0.6806 0.4092
0.7271 0.0662 0.7508
0.3088 0.1603 0.3772
0.7211 0.3194 0.4092
0.1693 0.4236 0.0000
0.3088 0.1603 0.6228
0.3307 0.9236 0.5000
0.6912 0.8397 0.3772
0.2729 0.9338 0.7508
0.7789 0.8194 0.0908
0.7729 0.5662 0.7492
0.2789 0.6806 0.5908
0.4254 0.2646 0.5000
0.5746 0.7354 0.5000
0.5000 0.0000 0.6562
0.0746 0.7646 0.0000
0.0000 0.5000 0.8438
0.5000 0.0000 0.3438
0.0000 0.5000 0.1562
0.9254 0.2354 0.0000
```

Properties
space group = Pnnm
energy relative to the elements = -118.5 kJ per mole of atoms